Record 1
Here is a relaxed structure of Tb3Se4 from the Materials Project. Energies are from PBE.

Cell and atoms, written as POSCAR:
```
Tb3Se4
1.0
-4.362 4.362 4.362
4.362 -4.362 4.362
4.362 4.362 -4.362
Tb Se
6 8
Cartesian
6.543 1.090 0.000 Tb
3.271 0.000 2.181 Tb
2.181 3.271 0.000 Tb
0.000 2.181 3.271 Tb
1.090 0.000 6.543 Tb
0.000 6.543 1.090 Tb
3.730 0.632 -0.632 Se
5.911 -1.549 1.549 Se
0.632 0.632 0.632 Se
0.632 -0.632 3.730 Se
-0.632 3.730 0.632 Se
1.549 5.911 -1.549 Se
2.812 2.812 2.812 Se
-1.549 1.549 5.911 Se
```

=====

Record 2
Here is a relaxed structure of Eu2ZrNbO6 from the Materials Project. Energies are from PBE.

Cell and atoms, written as POSCAR:
```
Eu2ZrNbO6
1.0
0.000 4.136 4.136
4.136 0.000 4.136
4.136 4.136 0.000
Eu Zr Nb O
2 1 1 6
Cartesian
2.068 2.068 2.068 Eu
6.204 6.204 6.204 Eu
0.000 0.000 0.000 Zr
4.136 4.136 4.136 Nb
4.136 4.136 2.101 O
4.136 2.101 4.136 O
6.172 4.136 4.136 O
2.101 4.136 4.136 O
4.136 6.172 4.136 O
4.136 4.136 6.172 O
```

=====

Record 3
Here is a relaxed structure of Cs2RbInF6 from the Materials Project. Energies are from PBE.

Cell and atoms, written as POSCAR:
```
Cs2RbInF6
1.0
0.000 4.819 4.819
4.819 0.000 4.819
4.819 4.819 0.000
Cs Rb In F
2 1 1 6
Cartesian
2.410 2.410 2.410 Cs
7.229 7.229 7.229 Cs
0.000 0.000 0.000 Rb
4.819 4.819 4.819 In
4.819 4.819 2.704 F
4.819 2.704 4.819 F
6.934 4.819 4.819 F
2.704 4.819 4.819 F
4.819 6.934 4.819 F
4.819 4.819 6.934 F
```

=====

For each record above, in turn, the calculated corrected total energy (MP2020 scheme) values are -6.04; -10.21; -4.69 eV per atom.
For each record above, in turn, the calculated uncorrected energy values are -5.77; -9.80; -4.41 eV/atom.
For each record above, in turn, the calculated ΔH_f (0 K) values are -2.06; -3.32; -2.99 eV/atom.